Entry 1:
Here is an optimized crystal structure of Na2ZrTaSi2PO12 from the Materials Project database. Energies are from GGA-PBE.

The structure in POSCAR format:
```
Na2ZrTaSi2PO12
1.0
-8.877 -0.124 -1.504
4.403 -7.744 1.318
-3.803 1.626 22.649
O Na Zr Si P Ta
72 12 6 12 6 6
Direct
0.975 0.793 0.804 O
0.542 0.840 0.474 O
0.642 0.127 0.137 O
0.169 0.967 0.196 O
0.515 0.866 0.076 O
0.850 0.361 0.925 O
0.504 0.370 0.423 O
0.297 0.829 0.256 O
0.848 0.532 0.743 O
0.184 0.027 0.592 O
0.642 0.509 0.639 O
0.027 0.193 0.910 O
0.697 0.532 0.525 O
0.309 0.842 0.972 O
0.468 0.303 0.025 O
0.308 0.460 0.471 O
0.514 0.827 0.758 O
0.366 0.497 0.363 O
0.012 0.827 0.411 O
0.964 0.162 0.590 O
0.809 0.837 0.194 O
0.848 0.494 0.424 O
0.973 0.816 0.092 O
0.503 0.634 0.863 O
0.506 0.655 0.577 O
0.474 0.307 0.744 O
0.839 0.819 0.591 O
0.033 0.831 0.696 O
0.163 0.191 0.694 O
0.493 0.125 0.641 O
0.181 0.161 0.091 O
0.160 0.458 0.974 O
0.468 0.152 0.243 O
0.134 0.485 0.576 O
0.838 0.036 0.090 O
0.630 0.496 0.923 O
0.829 0.524 0.027 O
0.173 0.988 0.911 O
0.825 0.024 0.805 O
0.182 0.199 0.410 O
0.476 0.171 0.527 O
0.976 0.175 0.305 O
0.173 0.486 0.258 O
0.158 0.691 0.472 O
0.207 0.025 0.304 O
0.142 0.504 0.861 O
0.802 0.970 0.691 O
0.873 0.358 0.637 O
0.540 0.692 0.971 O
0.306 0.483 0.758 O
0.364 0.865 0.858 O
0.807 0.973 0.410 O
0.496 0.858 0.361 O
0.135 0.636 0.358 O
0.801 0.818 0.910 O
0.700 0.164 0.029 O
0.639 0.150 0.425 O
0.840 0.321 0.244 O
0.693 0.526 0.244 O
0.360 0.860 0.577 O
0.836 0.300 0.529 O
0.345 0.494 0.077 O
0.875 0.507 0.141 O
0.679 0.160 0.744 O
0.826 0.792 0.307 O
0.506 0.152 0.924 O
0.208 0.174 0.807 O
0.171 0.703 0.756 O
0.517 0.694 0.258 O
0.140 0.640 0.077 O
0.491 0.358 0.139 O
0.030 0.198 0.191 O
0.010 0.002 0.499 Na
0.328 0.297 0.917 Na
0.998 0.990 0.999 Na
0.665 0.323 0.332 Na
0.703 0.672 0.417 Na
0.677 0.335 0.832 Na
0.036 0.339 0.084 Na
0.369 0.006 0.750 Na
0.661 0.964 0.584 Na
0.344 0.669 0.165 Na
0.994 0.631 0.250 Na
0.331 0.656 0.665 Na
0.664 0.335 0.686 Zr
0.997 0.002 0.353 Zr
0.998 0.003 0.853 Zr
0.665 0.336 0.186 Zr
0.331 0.670 0.520 Zr
0.330 0.669 0.020 Zr
0.954 0.627 0.084 Si
0.707 0.713 0.250 Si
0.708 0.997 0.749 Si
0.042 0.664 0.416 Si
0.373 0.046 0.584 Si
0.336 0.958 0.916 Si
0.621 0.960 0.417 Si
0.040 0.379 0.917 Si
0.669 0.625 0.583 Si
0.287 0.293 0.750 Si
0.375 0.331 0.083 Si
0.003 0.292 0.249 Si
0.001 0.711 0.751 P
0.622 0.666 0.917 P
0.667 0.044 0.084 P
0.956 0.333 0.584 P
0.334 0.378 0.417 P
0.289 0.999 0.251 P
0.335 0.666 0.313 Ta
0.668 0.333 0.980 Ta
0.001 0.999 0.647 Ta
0.667 0.332 0.480 Ta
0.001 0.999 0.147 Ta
0.334 0.665 0.813 Ta
```

calculated formation energy	-3125	meV per atom
spin magnetization	0.00	μB/f.u.

***

Entry 2:
Here is an optimized crystal structure of CsMg6Fe from the Materials Project database. Energies are from GGA-PBE.

The structure in POSCAR format:
```
CsMg6Fe
1.0
5.035 0.000 0.000
0.000 6.961 0.000
0.000 0.000 12.433
Mg Cs Fe
12 2 2
Direct
0.000 0.500 0.170 Mg
0.500 0.500 0.335 Mg
0.500 0.711 0.057 Mg
0.500 0.289 0.057 Mg
0.000 0.279 0.915 Mg
0.500 0.211 0.557 Mg
0.000 0.000 0.670 Mg
0.000 0.779 0.415 Mg
0.000 0.721 0.915 Mg
0.500 0.000 0.835 Mg
0.500 0.789 0.557 Mg
0.000 0.221 0.415 Mg
0.000 0.000 0.173 Cs
0.000 0.500 0.673 Cs
0.500 0.000 0.378 Fe
0.500 0.500 0.878 Fe
```

calculated formation energy	479	meV per atom
spin magnetization	2.74	μB/f.u.
relative energy among the computed polymorphs	0.081	eV per atom

***

Entry 3:
Here is an optimized crystal structure of FeSb2 from the Materials Project database. Energies are from GGA-PBE.

The structure in POSCAR format:
```
FeSb2
1.0
5.779 0.000 0.000
0.000 6.520 0.000
0.000 0.000 3.276
Fe Sb
2 4
Direct
0.000 0.000 0.000 Fe
0.500 0.500 0.500 Fe
0.196 0.355 0.000 Sb
0.304 0.855 0.500 Sb
0.696 0.145 0.500 Sb
0.804 0.645 0.000 Sb
```

calculated formation energy	-156	meV per atom
symmetry	Pnnm

***

Entry 4:
Here is an optimized crystal structure of Ce2In8Pd from the Materials Project database. Energies are from GGA-PBE.

The structure in POSCAR format:
```
Ce2In8Pd
1.0
4.733 0.000 0.000
0.000 4.733 0.000
0.000 0.000 12.199
Ce In Pd
2 8 1
Direct
0.000 0.000 0.191 Ce
0.000 0.000 0.809 Ce
0.000 0.500 0.000 In
0.000 0.500 0.375 In
0.000 0.500 0.625 In
0.500 0.000 0.000 In
0.500 0.000 0.375 In
0.500 0.000 0.625 In
0.500 0.500 0.192 In
0.500 0.500 0.808 In
0.000 0.000 0.500 Pd
```

calculated formation energy	-417	meV per atom
symmetry	P4/mmm

***

Entry 5:
Here is an optimized crystal structure of Cs2Te4O9 from the Materials Project database. Energies are from GGA-PBE.

The structure in POSCAR format:
```
Cs2Te4O9
1.0
-5.481 5.481 10.454
5.481 -5.481 10.454
5.481 5.481 -10.454
Cs Te O
8 16 36
Direct
0.153 0.625 0.028 Cs
0.245 0.245 0.000 Cs
0.375 0.403 0.528 Cs
0.505 0.005 0.500 Cs
0.597 0.125 0.972 Cs
0.755 0.755 0.000 Cs
0.875 0.847 0.472 Cs
0.995 0.495 0.500 Cs
0.065 0.062 0.248 Te
0.070 0.543 0.256 Te
0.183 0.935 0.997 Te
0.186 0.930 0.473 Te
0.287 0.814 0.744 Te
0.293 0.320 0.756 Te
0.457 0.713 0.527 Te
0.463 0.707 0.027 Te
0.564 0.537 0.244 Te
0.567 0.064 0.252 Te
0.680 0.436 0.973 Te
0.685 0.433 0.497 Te
0.812 0.315 0.748 Te
0.814 0.817 0.752 Te
0.936 0.188 0.503 Te
0.938 0.186 0.003 Te
0.043 0.383 0.231 O
0.046 0.807 0.896 O
0.063 0.759 0.289 O
0.121 0.234 0.461 O
0.133 0.293 0.731 O
0.147 0.647 0.500 O
0.152 0.812 0.769 O
0.188 0.957 0.339 O
0.193 0.090 0.239 O
0.225 0.937 0.695 O
0.241 0.530 0.305 O
0.280 0.491 0.805 O
0.340 0.879 0.113 O
0.353 0.853 0.500 O
0.397 0.397 0.000 O
0.410 0.023 0.039 O
0.470 0.775 0.711 O
0.509 0.313 0.789 O
0.525 0.720 0.211 O
0.557 0.296 0.396 O
0.562 0.402 0.269 O
0.598 0.867 0.161 O
0.603 0.603 0.000 O
0.617 0.848 0.661 O
0.629 0.590 0.613 O
0.687 0.475 0.195 O
0.704 0.100 0.261 O
0.707 0.438 0.839 O
0.766 0.227 0.887 O
0.773 0.660 0.539 O
0.840 0.443 0.739 O
0.850 0.954 0.761 O
0.900 0.160 0.604 O
0.910 0.150 0.104 O
0.977 0.016 0.387 O
0.984 0.371 0.961 O
```

calculated formation energy	-1677	meV per atom
spin magnetization	0.00	μB/f.u.
symmetry	I-42d

***

Entry 6:
Here is an optimized crystal structure of Mn6Si7 from the Materials Project database. Energies are from GGA-PBE.

The structure in POSCAR format:
```
Mn6Si7
1.0
2.425 1.400 7.929
-2.425 1.400 7.929
0.000 -2.800 7.929
Mn Si
6 7
Direct
0.049 0.049 0.049 Mn
0.162 0.162 0.162 Mn
0.335 0.335 0.335 Mn
0.665 0.665 0.665 Mn
0.838 0.838 0.838 Mn
0.951 0.951 0.951 Mn
0.078 0.586 0.586 Si
0.414 0.414 0.922 Si
0.414 0.922 0.414 Si
0.500 0.500 0.500 Si
0.586 0.078 0.586 Si
0.586 0.586 0.078 Si
0.922 0.414 0.414 Si
```

calculated formation energy	127	meV per atom
spin magnetization	11.75	μB/f.u.
symmetry	R-3m